No. 1
{
  "formula": "LiCoC2O6",
  "functional": "GGA+U",
  "state": "optimized geometry",
  "lattice": [[6.467, 0.000, 0.405], [0.000, 7.805, -0.001], [2.431, -0.001, 9.642]],
  "species": ["Li", "Li", "Li", "Li", "Co", "Co", "Co", "Co", "C", "C", "C", "C", "C", "C", "C", "C", "O", "O", "O", "O", "O", "O", "O", "O", "O", "O", "O", "O", "O", "O", "O", "O", "O", "O", "O", "O", "O", "O", "O", "O"],
  "frac_coords": [[0.442, 0.055, 0.178], [0.942, 0.055, 0.678], [0.559, 0.555, 0.322], [0.059, 0.555, 0.822], [0.506, 0.998, 0.506], [0.494, 0.498, 0.994], [0.006, 0.998, 0.006], [0.994, 0.498, 0.494], [0.675, 0.261, 0.443], [0.175, 0.261, 0.943], [0.325, 0.761, 0.057], [0.825, 0.761, 0.557], [0.199, 0.243, 0.427], [0.699, 0.243, 0.927], [0.801, 0.743, 0.073], [0.301, 0.743, 0.573], [0.727, 0.124, 0.366], [0.227, 0.124, 0.866], [0.273, 0.624, 0.134], [0.773, 0.624, 0.634], [0.751, 0.409, 0.405], [0.251, 0.409, 0.905], [0.249, 0.910, 0.095], [0.749, 0.910, 0.595], [0.973, 0.730, 0.436], [0.473, 0.730, 0.936], [0.027, 0.230, 0.064], [0.527, 0.230, 0.564], [0.244, 0.389, 0.360], [0.744, 0.389, 0.860], [0.756, 0.890, 0.140], [0.256, 0.890, 0.640], [0.297, 0.104, 0.382], [0.797, 0.104, 0.882], [0.703, 0.604, 0.118], [0.203, 0.604, 0.618], [0.462, 0.756, 0.455], [0.962, 0.756, 0.955], [0.538, 0.256, 0.045], [0.038, 0.256, 0.545]],
  "formation_energy_ev_per_atom": -1.754,
  "mass_density_g_cm3": 2.6,
  "energy_ev_per_atom": -6.894
}

---

No. 2
{
  "formula": "Li7Mn4P8O28",
  "functional": "GGA+U",
  "state": "optimized geometry",
  "lattice": [[3.032, -9.396, 0.602], [-1.498, -1.006, -9.748], [10.800, 3.495, 0.566]],
  "species": ["Li", "Li", "Li", "Li", "Li", "Li", "Li", "Li", "Li", "Li", "Li", "Li", "Li", "Li", "Mn", "Mn", "Mn", "Mn", "Mn", "Mn", "Mn", "Mn", "P", "P", "P", "P", "P", "P", "P", "P", "P", "P", "P", "P", "P", "P", "P", "P", "O", "O", "O", "O", "O", "O", "O", "O", "O", "O", "O", "O", "O", "O", "O", "O", "O", "O", "O", "O", "O", "O", "O", "O", "O", "O", "O", "O", "O", "O", "O", "O", "O", "O", "O", "O", "O", "O", "O", "O", "O", "O", "O", "O", "O", "O", "O", "O", "O", "O", "O", "O", "O", "O", "O", "O"],
  "frac_coords": [[0.279, 0.112, 0.446], [0.587, 0.179, 0.550], [0.890, 0.087, 0.027], [0.095, 0.342, 0.959], [0.393, 0.414, 0.973], [0.068, 0.338, 0.460], [0.221, 0.612, 0.449], [0.920, 0.663, 0.544], [0.608, 0.587, 0.031], [0.413, 0.853, 0.958], [0.909, 0.654, 0.042], [0.106, 0.915, 0.972], [0.423, 0.830, 0.456], [0.720, 0.888, 0.552], [0.077, 0.202, 0.671], [0.784, 0.260, 0.824], [0.289, 0.242, 0.176], [0.582, 0.296, 0.325], [0.422, 0.703, 0.678], [0.716, 0.757, 0.826], [0.216, 0.747, 0.178], [0.919, 0.797, 0.324], [0.548, 0.028, 0.758], [0.294, 0.120, 0.891], [0.067, 0.060, 0.244], [0.848, 0.123, 0.425], [0.351, 0.377, 0.572], [0.568, 0.440, 0.758], [0.951, 0.525, 0.759], [0.793, 0.380, 0.110], [0.205, 0.618, 0.893], [0.049, 0.474, 0.238], [0.433, 0.560, 0.244], [0.647, 0.619, 0.422], [0.150, 0.876, 0.573], [0.932, 0.941, 0.756], [0.706, 0.882, 0.109], [0.457, 0.978, 0.243], [0.579, 0.021, 0.625], [0.162, 0.023, 0.554], [0.913, 0.088, 0.733], [0.651, 0.117, 0.845], [0.403, 0.101, 0.780], [0.169, 0.179, 0.840], [0.353, 0.229, 0.998], [0.731, 0.018, 0.077], [0.920, 0.113, 0.295], [0.064, 0.064, 0.111], [0.469, 0.132, 0.229], [0.707, 0.182, 0.412], [0.173, 0.165, 0.312], [0.940, 0.217, 0.517], [0.438, 0.275, 0.481], [0.672, 0.329, 0.698], [0.211, 0.312, 0.580], [0.957, 0.373, 0.786], [0.421, 0.385, 0.703], [0.561, 0.442, 0.891], [0.224, 0.480, 0.926], [0.860, 0.277, 0.000], [0.671, 0.322, 0.163], [0.902, 0.401, 0.220], [0.418, 0.414, 0.272], [0.141, 0.384, 0.143], [0.921, 0.523, 0.630], [0.648, 0.468, 0.433], [0.341, 0.524, 0.554], [0.087, 0.477, 0.368], [0.863, 0.613, 0.857], [0.591, 0.583, 0.728], [0.103, 0.589, 0.778], [0.330, 0.684, 0.849], [0.134, 0.723, 0.998], [0.776, 0.518, 0.076], [0.432, 0.563, 0.112], [0.579, 0.621, 0.293], [0.037, 0.621, 0.212], [0.789, 0.680, 0.418], [0.327, 0.662, 0.314], [0.564, 0.719, 0.517], [0.062, 0.775, 0.482], [0.827, 0.837, 0.686], [0.289, 0.811, 0.581], [0.536, 0.883, 0.788], [0.935, 0.935, 0.887], [0.079, 0.888, 0.704], [0.275, 0.980, 0.921], [0.632, 0.777, 0.005], [0.826, 0.812, 0.155], [0.602, 0.908, 0.225], [0.364, 0.896, 0.144], [0.087, 0.915, 0.269], [0.834, 0.975, 0.444], [0.414, 0.973, 0.371]],
  "formation_energy_ev_per_atom": -2.633,
  "sg": "P1, No. 1",
  "mass_density_g_cm3": 2.9,
  "energy_ev_per_atom": -7.015
}

---

No. 3
{
  "formula": "LiTiV3O8",
  "functional": "GGA+U",
  "state": "optimized geometry",
  "lattice": [[-3.858, -2.411, -3.657], [4.954, -2.794, 1.257], [-0.253, -4.908, 3.585]],
  "species": ["Li", "Ti", "V", "V", "V", "O", "O", "O", "O", "O", "O", "O", "O"],
  "frac_coords": [[0.500, 0.500, 0.500], [0.000, 0.000, 0.000], [0.000, 0.500, 0.000], [0.500, 0.500, 0.000], [0.500, 0.000, 0.000], [0.764, 0.533, 0.205], [0.273, 0.534, 0.205], [0.764, 0.027, 0.204], [0.274, 0.039, 0.197], [0.726, 0.961, 0.803], [0.236, 0.973, 0.796], [0.727, 0.466, 0.795], [0.236, 0.467, 0.795]],
  "formation_energy_ev_per_atom": -2.598,
  "sg": "C2/m, No. 12",
  "mass_density_g_cm3": 3.7,
  "energy_ev_per_atom": -7.679
}

---

No. 4
{
  "formula": "Li5Nb2V5O12",
  "functional": "GGA+U",
  "state": "optimized geometry",
  "lattice": [[-3.852, -2.496, 2.547], [-3.147, -3.366, -2.514], [6.548, -7.817, 0.265]],
  "species": ["Li", "Li", "Li", "Li", "Li", "Nb", "Nb", "V", "V", "V", "V", "V", "O", "O", "O", "O", "O", "O", "O", "O", "O", "O", "O", "O"],
  "frac_coords": [[0.165, 0.679, 0.505], [0.318, 0.825, 0.992], [0.679, 0.165, 0.995], [0.825, 0.318, 0.508], [0.923, 0.923, 0.750], [0.252, 0.252, 0.750], [0.743, 0.743, 0.250], [0.998, 0.504, 0.993], [0.504, 0.998, 0.507], [0.431, 0.431, 0.250], [0.582, 0.582, 0.750], [0.078, 0.078, 0.250], [0.975, 0.203, 0.870], [0.203, 0.975, 0.630], [0.123, 0.382, 0.368], [0.382, 0.123, 0.132], [0.292, 0.533, 0.869], [0.533, 0.292, 0.631], [0.457, 0.710, 0.382], [0.710, 0.457, 0.118], [0.614, 0.888, 0.869], [0.888, 0.614, 0.631], [0.790, 0.036, 0.376], [0.036, 0.790, 0.124]],
  "formation_energy_ev_per_atom": -2.396,
  "sg": "C2, No. 5",
  "mass_density_g_cm3": 4.7,
  "energy_ev_per_atom": -7.305
}

---

No. 5
{
  "formula": "MgCr2O4",
  "functional": "GGA+U",
  "state": "optimized geometry",
  "lattice": [[5.243, -2.993, 0.000], [5.243, 2.993, 0.000], [3.534, 0.000, 4.894]],
  "species": ["Mg", "Mg", "Cr", "Cr", "Cr", "Cr", "O", "O", "O", "O", "O", "O", "O", "O"],
  "frac_coords": [[0.003, 0.003, 0.003], [0.627, 0.627, 0.627], [0.245, 0.245, 0.245], [0.626, 0.626, 0.120], [0.120, 0.626, 0.626], [0.626, 0.120, 0.626], [0.378, 0.851, 0.378], [0.851, 0.378, 0.378], [0.378, 0.378, 0.851], [0.385, 0.385, 0.385], [0.865, 0.865, 0.865], [0.869, 0.869, 0.407], [0.407, 0.869, 0.869], [0.869, 0.407, 0.869]],
  "formation_energy_ev_per_atom": -2.511,
  "sg": "R3m, No. 160",
  "mass_density_g_cm3": 4.2,
  "energy_ev_per_atom": -7.361
}

---

No. 6
{
  "formula": "Ba3Lu2MoO9",
  "functional": "GGA+U",
  "state": "optimized geometry",
  "lattice": [[-5.500, 2.300, 0.749], [3.751, -0.402, 4.677], [2.603, 6.715, -1.510]],
  "species": ["Ba", "Ba", "Ba", "Lu", "Lu", "Mo", "O", "O", "O", "O", "O", "O", "O", "O", "O"],
  "frac_coords": [[0.000, 0.000, 0.500], [0.667, 0.333, 0.823], [0.333, 0.667, 0.177], [0.667, 0.333, 0.337], [0.333, 0.667, 0.663], [0.000, 0.000, 0.000], [0.690, 0.845, 0.848], [0.310, 0.155, 0.152], [0.000, 0.500, 0.500], [0.500, 0.000, 0.500], [0.155, 0.310, 0.848], [0.845, 0.690, 0.152], [0.500, 0.500, 0.500], [0.155, 0.845, 0.848], [0.845, 0.155, 0.152]],
  "formation_energy_ev_per_atom": -3.260,
  "sg": "P-3m1, No. 164",
  "mass_density_g_cm3": 7.2,
  "energy_ev_per_atom": -7.312
}

---

No. 7
{
  "formula": "Li2Mn3Cr3O12",
  "functional": "GGA+U",
  "state": "optimized geometry",
  "lattice": [[8.803, 0.000, 0.000], [0.000, 5.117, 0.000], [0.000, 1.720, 4.969]],
  "species": ["Li", "Li", "Mn", "Mn", "Mn", "Cr", "Cr", "Cr", "O", "O", "O", "O", "O", "O", "O", "O", "O", "O", "O", "O"],
  "frac_coords": [[0.500, 0.000, 0.000], [0.000, 0.500, 0.000], [0.332, 0.000, 0.500], [0.668, 0.000, 0.500], [0.000, 0.000, 0.500], [0.500, 0.500, 0.500], [0.829, 0.500, 0.500], [0.171, 0.500, 0.500], [0.500, 0.781, 0.703], [0.837, 0.769, 0.703], [0.163, 0.769, 0.703], [0.335, 0.253, 0.703], [0.665, 0.253, 0.703], [0.000, 0.271, 0.693], [0.335, 0.747, 0.297], [0.665, 0.747, 0.297], [0.000, 0.729, 0.307], [0.500, 0.219, 0.297], [0.837, 0.231, 0.297], [0.163, 0.231, 0.297]],
  "formation_energy_ev_per_atom": -2.062,
  "sg": "P2/m, No. 10",
  "mass_density_g_cm3": 3.9,
  "energy_ev_per_atom": -7.082
}

---

No. 8
{
  "formula": "Li9Mn2Co5O16",
  "functional": "GGA+U",
  "state": "optimized geometry",
  "lattice": [[6.568, 0.000, 0.000], [2.098, 6.313, 0.000], [3.211, 1.049, 6.955]],
  "species": ["Li", "Li", "Li", "Li", "Li", "Li", "Li", "Li", "Li", "Mn", "Mn", "Co", "Co", "Co", "Co", "Co", "O", "O", "O", "O", "O", "O", "O", "O", "O", "O", "O", "O", "O", "O", "O", "O"],
  "frac_coords": [[0.067, 0.439, 0.809], [0.687, 0.808, 0.936], [0.314, 0.190, 0.061], [0.946, 0.561, 0.180], [0.192, 0.311, 0.437], [0.802, 0.688, 0.575], [0.439, 0.057, 0.687], [0.556, 0.940, 0.314], [0.376, 0.627, 0.873], [0.998, 0.998, 0.001], [0.877, 0.124, 0.374], [0.741, 0.264, 0.752], [0.134, 0.869, 0.630], [0.500, 0.500, 0.501], [0.256, 0.747, 0.247], [0.609, 0.384, 0.121], [0.078, 0.144, 0.739], [0.725, 0.516, 0.847], [0.316, 0.905, 0.989], [0.954, 0.260, 0.106], [0.196, 0.029, 0.350], [0.843, 0.385, 0.464], [0.452, 0.780, 0.590], [0.587, 0.645, 0.227], [0.026, 0.747, 0.911], [0.675, 0.100, 0.025], [0.294, 0.466, 0.160], [0.911, 0.867, 0.273], [0.165, 0.605, 0.519], [0.802, 0.979, 0.637], [0.426, 0.344, 0.764], [0.555, 0.219, 0.402]],
  "formation_energy_ev_per_atom": -1.822,
  "sg": "P1, No. 1",
  "mass_density_g_cm3": 4.2,
  "energy_ev_per_atom": -5.812
}